Na9Ca4Ta2P9O36 PBE relaxed; total energy after the MP2020 corrections = -1778.2 eV/cell; ΔH_f (0 K) = -2.9010 eV/atom; distance to the lowest polymorph of the same formula = 2 meV/atom
1.0
7.859 4.019 -13.322
-7.544 -23.988 -11.723
-8.813 1.928 1.746
Na Ca Ta P O
36 16 8 36 144
Cartesian
0.043 -4.951 -6.432
-2.478 -12.907 -10.186
-5.053 -20.933 -14.058
-0.404 -1.963 -12.119
-3.111 -10.375 -16.444
-5.453 -17.672 -19.642
5.224 1.097 -10.985
2.648 -6.930 -14.857
0.201 -14.935 -18.955
-3.268 -0.390 -3.921
-5.611 -7.687 -7.120
-8.105 -15.967 -11.320
-3.141 2.569 -5.839
-5.713 -5.448 -9.807
-8.244 -13.216 -13.541
-0.695 -4.687 -9.799
-3.209 -12.770 -13.601
-5.806 -20.783 -17.591
-8.401 -3.231 -1.018
-10.843 -11.434 -5.040
-13.415 -19.451 -9.008
4.493 1.234 -14.400
-5.963 -10.799 -5.068
-8.396 -18.691 -9.000
-2.931 -19.607 -22.129
-5.713 -13.994 -9.338
-8.543 -21.913 -13.345
-10.360 -14.362 -9.170
-0.366 4.178 -9.704
-2.709 -3.913 -13.679
-3.088 -9.623 -9.607
1.989 0.009 -10.137
-0.841 -7.909 -14.144
-2.658 -0.358 -9.969
-8.067 -9.826 -8.905
-10.410 -17.917 -12.880
-8.529 -12.602 -7.076
-11.137 -20.661 -11.096
-3.224 -0.589 -13.216
-5.776 -8.516 -17.104
-8.264 -16.623 -20.976
2.473 2.612 -12.207
-0.023 -5.503 -16.003
-2.405 -13.487 -19.948
-0.828 1.401 -7.875
-3.435 -6.657 -11.895
-5.933 1.469 -4.581
-8.422 -6.638 -8.453
-10.926 -14.592 -12.416
-2.563 -3.502 -7.425
-5.229 -11.392 -11.407
-7.725 -19.506 -15.204
-5.907 -4.610 -3.360
-0.167 -1.616 -2.281
-2.699 -9.306 -6.116
-5.314 -17.495 -10.028
-5.750 -14.594 -15.882
2.387 -3.491 -10.828
-0.009 -11.600 -14.803
-2.542 -19.290 -18.639
-8.867 -6.144 -2.411
-11.595 -14.096 -6.424
-13.927 -22.192 -10.280
5.784 3.896 -13.131
3.168 -3.944 -17.011
-7.374 -15.853 -7.808
-3.893 -0.092 -7.223
-6.226 -8.188 -11.079
-8.710 -16.128 -14.934
0.328 -1.849 -8.607
-1.918 -10.108 -12.332
-4.533 -17.948 -16.212
-6.017 -4.262 -6.810
-8.612 -12.306 -10.688
-11.200 -20.131 -14.620
-3.718 -3.205 -10.772
-6.239 -11.362 -14.792
-8.787 -19.146 -18.590
2.815 2.462 -8.541
0.252 -5.728 -12.424
-2.319 -13.711 -16.327
0.060 1.050 -4.575
-2.445 -6.906 -8.612
-4.764 -15.006 -12.411
-0.911 1.698 -11.487
-3.498 -6.127 -15.419
-5.860 -14.247 -19.332
-6.396 -1.378 -2.270
-8.945 -9.161 -6.067
-11.420 -17.208 -9.973
-2.476 -3.727 -3.804
-4.887 -11.542 -7.741
-7.450 -19.732 -11.624
2.938 -1.002 -13.210
0.218 -8.935 -17.098
-2.288 -16.890 -21.134
-6.781 -2.792 -2.917
-9.591 -10.286 -6.911
-12.055 -18.367 -10.749
-1.313 0.324 -12.056
-3.937 -7.397 -16.139
-6.548 -15.499 -19.850
2.875 0.300 -12.410
0.400 -7.799 -16.086
-1.526 -15.733 -20.476
-2.053 -2.339 -3.152
-4.233 -10.213 -7.107
-6.758 -18.413 -11.027
-1.889 3.718 -7.710
-4.354 -4.363 -11.548
-6.624 -12.777 -15.439
-4.095 2.588 -3.616
-6.705 -5.515 -7.327
-9.015 -13.680 -11.257
-1.684 -5.749 -7.953
-4.826 -13.703 -11.611
-7.302 -21.803 -15.287
0.943 -4.410 -11.826
-1.895 -12.324 -15.675
-4.076 -20.197 -19.630
-3.074 -1.352 -7.342
-5.061 -9.175 -11.028
-8.125 -17.459 -14.581
-5.254 -0.377 -8.075
-7.379 -8.927 -12.007
-9.940 -16.324 -15.913
-0.616 -0.703 -9.030
-2.426 -8.680 -12.548
-5.139 -16.438 -16.233
1.540 -1.255 -7.921
-0.807 -10.191 -11.293
-3.378 -17.990 -15.239
2.640 4.829 -11.828
-0.424 -3.455 -15.380
-2.917 -11.336 -19.865
-7.536 1.057 0.516
-10.097 -6.340 -3.391
-12.956 -14.381 -7.276
-5.296 -6.453 -3.710
-8.317 -14.707 -8.231
-10.127 -22.684 -11.749
4.324 -3.986 -16.038
1.698 -11.239 -20.443
-0.649 -20.176 -23.816
-6.400 -4.108 -5.252
-9.356 -11.937 -9.394
-11.952 -19.784 -13.329
-2.942 -2.241 -11.699
-5.655 -10.424 -15.813
-7.854 -18.268 -19.431
3.253 2.418 -10.026
0.678 -5.925 -13.876
-1.904 -13.785 -17.767
-0.164 -0.266 -3.660
-2.971 -7.896 -7.462
-5.547 -16.104 -11.601
-1.655 2.066 -10.193
-4.251 -5.781 -14.129
-6.243 -14.092 -17.774
-5.812 -0.440 -3.291
-8.011 -8.283 -6.908
-10.644 -16.245 -10.900
-2.061 -3.801 -5.244
-4.448 -11.585 -9.227
-7.024 -19.929 -13.076
2.154 -2.100 -12.400
-0.007 -10.250 -16.183
-2.814 -17.880 -19.985
-4.530 -4.315 -6.929
-7.107 -12.201 -10.487
-9.701 -20.124 -14.336
-4.946 -2.399 -10.055
-7.643 -10.852 -14.219
-10.024 -18.253 -18.028
1.287 2.612 -8.326
-1.262 -5.493 -12.211
-3.929 -13.789 -16.104
1.335 0.889 -5.404
-1.547 -7.788 -9.489
-3.313 -15.392 -12.648
0.595 1.803 -11.286
-2.000 -6.120 -15.135
-4.373 -14.299 -19.452
-7.801 -0.868 -1.697
-10.181 -8.269 -5.506
-12.647 -16.403 -9.256
-4.087 -3.805 -3.582
-6.415 -11.392 -7.527
-8.964 -19.496 -11.412
4.389 -1.388 -13.447
1.492 -9.095 -17.927
-1.390 -17.773 -22.012
-6.573 -2.975 -7.617
-9.004 -11.198 -11.796
-11.432 -18.836 -15.608
-2.789 -3.632 -9.659
-5.316 -11.659 -13.628
-8.071 -19.742 -17.395
3.392 1.247 -7.832
0.800 -6.883 -11.590
-1.719 -14.815 -15.481
-1.176 1.165 -5.478
-3.682 -6.526 -9.439
-5.467 -14.825 -13.852
-1.302 2.806 -12.595
-3.731 -4.832 -16.407
-6.415 -12.960 -20.140
-5.473 -1.674 -1.106
-8.228 -9.758 -4.872
-10.491 -17.636 -8.860
-1.877 -4.830 -2.959
-4.310 -12.757 -7.033
-6.902 -20.887 -10.791
2.235 -0.822 -14.651
-1.019 -8.820 -18.001
-3.525 -16.510 -21.961
-7.818 -5.229 -3.182
-10.923 -12.925 -7.180
-13.541 -20.896 -10.983
-1.417 -1.377 -14.460
-4.084 -9.667 -18.313
-6.647 -17.912 -22.202
4.715 2.850 -12.755
2.098 -4.982 -16.721
-0.156 -13.032 -20.423
-1.477 -0.541 -1.252
-4.185 -8.230 -5.157
-6.849 -16.467 -9.232
-3.221 1.078 -7.979
-5.839 -6.892 -11.782
-7.661 -15.213 -15.704
-4.242 0.317 -5.790
-6.804 -7.927 -9.680
-9.118 -15.381 -13.661
-0.314 -3.047 -7.900
-2.986 -11.153 -11.955
-5.603 -18.986 -15.922
0.853 -2.463 -10.031
-1.320 -10.525 -13.775
-4.027 -18.215 -17.680